1.
A plane-wave DFT calculation with PBE was carried out for a geometry-optimized BaNbO3 structure.

```
5
Lattice="4.154 0.000 0.000 0.000 4.154 0.000 0.000 0.000 4.154" Properties=species:S:1:pos:R:3 pbc="T T T"
Ba 0.000 0.000 0.000
Nb 2.077 2.077 2.077
O 0.000 2.077 2.077
O 2.077 0.000 2.077
O 2.077 2.077 0.000
```

Results
Mass density = 6.44 g cm⁻³
Formation energy from the elements = -3179 meV/atom
Space group = Pm-3m, No. 221
Energy with MP2020 corrections = -8.552 eV per atom



2.
A plane-wave DFT calculation with PBE was carried out for a geometry-optimized BaNb8O14 structure.

```
92
Lattice="12.037 -5.259 0.000 12.037 5.259 0.000 0.000 0.000 9.584" Properties=species:S:1:pos:R:3 pbc="T T T"
Ba 8.782 2.722 4.792
Ba 15.291 2.722 4.792
Ba 8.782 -2.722 0.000
Ba 15.291 -2.722 0.000
Nb 4.406 1.837 3.650
Nb 2.906 0.934 5.977
Nb 12.037 4.323 3.729
Nb 10.422 3.424 8.435
Nb 7.645 1.856 1.227
Nb 6.103 0.681 6.162
Nb 2.906 -0.934 1.185
Nb 13.651 3.424 8.435
Nb 10.438 1.799 1.243
Nb 9.060 0.899 8.511
Nb 6.103 -0.681 1.369
Nb 4.406 -1.837 8.442
Nb 13.635 1.799 1.243
Nb 12.037 0.950 5.966
Nb 9.060 -0.899 3.719
Nb 7.645 -1.856 6.020
Nb 16.428 1.856 1.227
Nb 15.013 0.899 8.511
Nb 12.037 -0.950 1.174
Nb 10.438 -1.799 6.035
Nb 19.668 1.837 3.650
Nb 17.970 0.681 6.162
Nb 15.013 -0.899 3.719
Nb 13.635 -1.799 6.035
Nb 10.422 -3.424 3.643
Nb 21.167 0.934 5.977
Nb 17.970 -0.681 1.369
Nb 16.428 -1.856 6.020
Nb 13.651 -3.424 3.643
Nb 12.037 -4.323 8.521
Nb 21.167 -0.934 1.185
Nb 19.668 -1.837 8.442
O 5.945 2.450 4.956
O 3.008 0.979 2.373
O 4.536 1.639 7.161
O 1.520 0.034 9.564
O 1.520 -0.034 4.772
O 12.037 4.529 7.440
O 10.545 3.510 2.535
O 7.519 1.689 7.221
O 5.994 0.917 2.406
O 4.553 0.125 4.902
O 4.553 -0.125 0.109
O 3.008 -0.979 7.165
O 13.529 3.510 2.535
O 12.037 2.624 0.049
O 12.037 2.628 4.860
O 10.525 1.716 7.185
O 9.030 1.011 2.539
O 7.546 0.016 0.140
O 7.546 -0.016 4.932
O 5.994 -0.917 7.199
O 4.536 -1.639 2.369
O 13.549 1.716 7.185
O 12.037 0.722 2.262
O 10.516 0.029 4.915
O 10.516 -0.029 0.123
O 9.030 -1.011 7.331
O 7.519 -1.689 2.429
O 5.945 -2.450 0.164
O 18.128 2.450 4.956
O 16.554 1.689 7.221
O 15.044 1.011 2.539
O 13.558 0.029 4.915
O 13.558 -0.029 0.123
O 12.037 -0.722 7.055
O 10.525 -1.716 2.393
O 19.537 1.639 7.161
O 18.080 0.917 2.406
O 16.527 0.016 0.140
O 16.527 -0.016 4.932
O 15.044 -1.011 7.331
O 13.549 -1.716 2.393
O 12.037 -2.628 0.068
O 12.037 -2.624 4.841
O 10.545 -3.510 7.328
O 21.065 0.979 2.373
O 19.521 0.125 4.902
O 19.521 -0.125 0.109
O 18.080 -0.917 7.199
O 16.554 -1.689 2.429
O 13.529 -3.510 7.328
O 12.037 -4.529 2.648
O 22.553 0.034 9.564
O 22.553 -0.034 4.772
O 19.537 -1.639 2.369
O 21.065 -0.979 7.165
O 18.128 -2.450 0.164
```

Results
Mass density = 6.05 g cm⁻³
Formation energy from the elements = -2864 meV/atom
Space group = Cmc2_1, No. 36
Energy above the most stable polymorph in this dataset = 0 meV/atom
Energy with MP2020 corrections = -9.472 eV per atom



3.
A plane-wave DFT calculation with PBE was carried out for a geometry-optimized Ba4Nb2O9 structure.

```
15
Lattice="6.027 0.000 0.000 -3.014 5.220 0.000 0.000 0.000 8.508" Properties=species:S:1:pos:R:3 pbc="T T T"
Ba 0.000 0.000 0.000
Ba 0.000 0.000 4.254
Ba 0.000 3.480 2.170
Ba 3.014 1.740 6.338
Nb 0.000 3.480 5.650
Nb 3.014 1.740 2.858
O -1.507 2.610 4.254
O 0.000 1.816 6.589
O -1.441 4.312 6.589
O 1.573 0.908 1.919
O 3.014 0.000 4.254
O 1.507 2.610 4.254
O 1.441 4.312 6.589
O 4.454 0.908 1.919
O 3.014 3.403 1.919
```

Results
Mass density = 5.45 g cm⁻³
Formation energy from the elements = -3186 meV/atom
Space group = P-3m1, No. 164
Energy above the most stable polymorph in this dataset = 37 meV/atom
Energy with MP2020 corrections = -8.014 eV per atom



4.
A plane-wave DFT calculation with PBE was carried out for a geometry-optimized Ba5Nb4O15 structure.

```
24
Lattice="5.889 0.000 0.000 -2.944 5.100 0.000 0.000 0.000 12.003" Properties=species:S:1:pos:R:3 pbc="T T T"
Ba 0.000 0.000 0.000
Ba 0.000 3.400 5.150
Ba 0.000 3.400 9.503
Ba 2.944 1.700 2.500
Ba 2.944 1.700 6.853
Nb 0.000 0.000 3.800
Nb 0.000 0.000 8.203
Nb 0.000 3.400 1.259
Nb 2.944 1.700 10.744
O -1.472 2.550 0.000
O 0.000 1.670 7.354
O -1.498 4.265 7.354
O 0.000 1.727 2.302
O -1.449 4.236 2.302
O 1.447 0.835 4.648
O 1.496 0.863 9.701
O 2.944 0.000 0.000
O 1.472 2.550 0.000
O 1.449 4.236 2.302
O 1.498 4.265 7.354
O 4.393 0.863 9.701
O 2.944 3.373 9.701
O 4.442 0.835 4.648
O 2.944 3.429 4.648
```

Results
Mass density = 5.98 g cm⁻³
Formation energy from the elements = -3272 meV/atom
Space group = P-3m1, No. 164
Energy with MP2020 corrections = -8.447 eV per atom



5.
A plane-wave DFT calculation with PBE was carried out for a geometry-optimized Ba2Nb5O9 structure.

```
16
Lattice="4.228 0.000 0.000 0.000 4.228 0.000 0.000 0.000 12.411" Properties=species:S:1:pos:R:3 pbc="T T T"
Ba 0.000 0.000 2.093
Ba 0.000 0.000 10.318
Nb 0.000 2.114 6.206
Nb 2.114 0.000 6.206
Nb 2.114 2.114 0.000
Nb 2.114 2.114 4.187
Nb 2.114 2.114 8.225
O 0.000 0.000 6.206
O 0.000 2.114 0.000
O 0.000 2.114 4.068
O 0.000 2.114 8.343
O 2.114 0.000 0.000
O 2.114 0.000 4.068
O 2.114 0.000 8.343
O 2.114 2.114 2.004
O 2.114 2.114 10.408
```

Results
Mass density = 6.61 g cm⁻³
Formation energy from the elements = -2876 meV/atom
Space group = P4/mmm, No. 123
Energy with MP2020 corrections = -9.056 eV per atom



6.
A plane-wave DFT calculation with PBE was carried out for a geometry-optimized Ba4Nb25O40 structure.

```
69
Lattice="6.704 0.000 0.000 0.000 4.153 0.000 -0.059 0.000 33.540" Properties=species:S:1:pos:R:3 pbc="T T T"
Ba 6.697 0.000 3.357
Ba -0.052 0.000 30.182
Ba -0.037 0.000 23.439
Ba 6.682 0.000 10.101
Nb 1.338 2.076 19.327
Nb 1.377 2.076 12.747
Nb 1.405 2.076 6.057
Nb 1.370 2.076 26.172
Nb 1.360 2.076 32.889
Nb 2.541 2.076 15.432
Nb 2.634 2.076 22.039
Nb 2.694 2.076 1.939
Nb 2.687 2.076 8.660
Nb 2.650 2.076 28.769
Nb 3.320 0.000 13.429
Nb 3.352 0.000 0.000
Nb 3.340 0.000 6.706
Nb 3.305 0.000 26.834
Nb 3.325 0.000 20.111
Nb 3.995 2.076 4.771
Nb 3.958 2.076 24.880
Nb 3.951 2.076 31.601
Nb 4.010 2.076 11.501
Nb 4.103 2.076 18.108
Nb 5.285 2.076 0.651
Nb 5.275 2.076 7.368
Nb 5.240 2.076 27.483
Nb 5.268 2.076 20.793
Nb 5.307 2.076 14.213
O 0.666 2.076 1.342
O 0.659 2.076 8.046
O 0.643 2.076 14.696
O 0.623 2.076 28.174
O 0.642 2.076 21.451
O 1.355 0.000 5.962
O 1.320 0.000 26.093
O 1.308 0.000 32.797
O 1.350 0.000 12.640
O 1.341 0.000 19.421
O 1.963 2.076 24.146
O 2.002 2.076 4.023
O 1.956 2.076 30.858
O 2.011 2.076 10.719
O 2.041 2.076 17.475
O 2.607 0.000 1.989
O 2.595 0.000 8.693
O 2.567 0.000 22.105
O 2.560 0.000 28.823
O 2.601 0.000 15.399
O 4.044 0.000 18.141
O 4.085 0.000 4.717
O 4.078 0.000 11.435
O 4.050 0.000 24.847
O 4.038 0.000 31.551
O 4.604 2.076 16.065
O 4.634 2.076 22.821
O 4.689 2.076 2.681
O 4.643 2.076 29.517
O 4.682 2.076 9.393
O 5.304 0.000 14.119
O 5.294 0.000 20.900
O 5.337 0.000 0.743
O 5.325 0.000 7.447
O 5.290 0.000 27.578
O 6.003 2.076 12.089
O 6.022 2.076 5.366
O 6.002 2.076 18.844
O 5.986 2.076 25.494
O 5.979 2.076 32.198
```

Results
Mass density = 6.25 g cm⁻³
Formation energy from the elements = -2776 meV/atom
Space group = P2/m, No. 10
Energy with MP2020 corrections = -9.416 eV per atom



7.
A plane-wave DFT calculation with PBE was carried out for a geometry-optimized Ba3Nb5O15 structure.

```
46
Lattice="12.829 0.000 0.000 0.000 12.829 0.000 0.000 0.000 4.043" Properties=species:S:1:pos:R:3 pbc="T T T"
Ba 0.000 0.000 0.000
Ba 2.150 4.265 0.000
Ba 4.265 10.679 0.000
Ba 6.415 6.415 0.000
Ba 8.564 2.150 0.000
Ba 10.679 8.564 0.000
Nb 0.000 6.415 2.021
Nb 0.998 10.102 2.021
Nb 2.727 0.998 2.021
Nb 3.688 7.413 2.021
Nb 5.416 3.688 2.021
Nb 6.415 0.000 2.021
Nb 7.413 9.141 2.021
Nb 9.141 5.416 2.021
Nb 10.102 11.831 2.021
Nb 11.831 2.727 2.021
O 0.000 6.415 0.000
O 0.090 4.404 2.021
O 0.878 1.792 2.021
O 1.003 10.157 0.000
O 1.792 11.951 2.021
O 2.011 6.325 2.021
O 2.672 1.003 0.000
O 2.822 9.236 2.021
O 3.593 2.822 2.021
O 3.743 7.417 0.000
O 4.404 12.739 2.021
O 4.623 5.537 2.021
O 5.412 3.743 0.000
O 5.537 8.206 2.021
O 6.325 10.818 2.021
O 6.415 0.000 0.000
O 6.504 2.011 2.021
O 7.292 4.623 2.021
O 7.417 9.086 0.000
O 8.206 7.292 2.021
O 8.425 0.090 2.021
O 9.086 5.412 0.000
O 9.236 10.007 2.021
O 10.007 3.593 2.021
O 10.157 11.826 0.000
O 10.818 6.504 2.021
O 11.037 0.878 2.021
O 11.826 2.672 0.000
O 11.951 11.037 2.021
O 12.739 8.425 2.021
```

Results
Mass density = 5.57 g cm⁻³
Formation energy from the elements = -3205 meV/atom
Space group = P4/mbm, No. 127
Energy with MP2020 corrections = -8.878 eV per atom



8.
A plane-wave DFT calculation with PBE was carried out for a geometry-optimized BaNb4O14 structure.

```
19
Lattice="3.807 2.198 6.202 -3.807 2.198 6.202 0.000 -4.396 6.202" Properties=species:S:1:pos:R:3 pbc="T T T"
Ba 0.000 0.000 0.000
Nb -1.904 -1.099 6.202
Nb -1.904 1.099 12.405
Nb 0.000 2.198 6.202
Nb 0.000 0.000 9.303
O 0.000 0.000 2.943
O 0.000 -1.658 5.883
O -1.436 0.829 5.883
O -1.404 -0.810 8.120
O -1.436 -0.829 12.724
O 0.000 -1.621 10.487
O -1.404 0.810 10.487
O 1.404 -0.810 8.120
O 0.000 1.621 8.120
O 1.436 0.829 5.883
O 1.404 0.810 10.487
O 1.436 -0.829 12.724
O 0.000 1.658 12.724
O 0.000 0.000 15.664
```

Results
Mass density = 3.91 g cm⁻³
Formation energy from the elements = -2312 meV/atom
Space group = R-3m, No. 166
Energy with MP2020 corrections = -8.186 eV per atom